(w)
Below is an optimized crystal structure of LiMnP4O12, with properties calculated at the PBE with a Hubbard U level.

Unit cell a=11.742 b=8.449 c=10.193 alpha=90.00 beta=116.68 gamma=90.00
Space group C2/c (No. 15)
Inequivalent atoms, fractional coordinates:
Li1 0.000 0.026 0.250 x4
Mn1 0.250 0.250 0.500 x4
P1 0.006 0.266 0.971 x8
P2 0.189 0.493 0.189 x8
O1 0.030 0.124 0.905 x8
O2 0.065 0.256 0.434 x8
O3 0.066 0.400 0.654 x8
O4 0.140 0.352 0.070 x8
O5 0.216 0.088 0.344 x8
O6 0.238 0.429 0.340 x8

Output
Total moment (μB per formula unit): 4.0
Calculated volume (Å³/cell): 903.6

***

(x)
Below is an optimized crystal structure of LiMnP4O12, with properties calculated at the PBE with a Hubbard U level.

Unit cell a=16.772 b=12.107 c=5.231 alpha=90.00 beta=100.64 gamma=90.00
Space group C2/m (No. 12)
Inequivalent atoms, fractional coordinates:
Li1 0.074 0.000 0.085 x4
Mn1 0.250 0.250 0.500 x4
P1 0.077 0.209 0.681 x8
P2 0.183 0.378 0.984 x8
O1 0.000 0.268 0.500 x4
O2 0.050 0.112 0.818 x8
O3 0.103 0.308 0.884 x8
O4 0.141 0.191 0.516 x8
O5 0.147 0.500 0.917 x4
O6 0.202 0.371 0.278 x8
O7 0.249 0.354 0.836 x8

Output
Total moment (μB per formula unit): 4.0
Calculated volume (Å³/cell): 1044.0

***

Order from most stable to least stable according to the calculation: (w), (x)

***

(w)
Below is an optimized crystal structure of Li2TiFeO4, with properties calculated at the PBE with a Hubbard U level.

Unit cell a=5.265 b=5.981 c=10.355 alpha=106.52 beta=99.22 gamma=90.07
Space group P-1 (No. 2)
Inequivalent atoms, fractional coordinates:
Li1 0.000 0.000 0.000 x1
Li2 0.000 0.000 0.500 x1
Li3 0.000 0.500 0.000 x1
Li4 0.000 0.500 0.500 x1
Li5 0.499 0.246 0.493 x2
Li6 0.500 0.250 0.000 x2
Ti1 0.230 0.878 0.756 x2
Ti2 0.271 0.371 0.743 x2
Fe1 0.250 0.375 0.250 x2
Fe2 0.250 0.874 0.250 x2
O1 0.087 0.184 0.370 x2
O2 0.099 0.677 0.355 x2
O3 0.142 0.177 0.867 x2
O4 0.142 0.690 0.867 x2
O5 0.358 0.562 0.633 x2
O6 0.359 0.071 0.633 x2
O7 0.400 0.073 0.144 x2
O8 0.413 0.567 0.132 x2

Output
Total moment (μB per formula unit): 0.0
Calculated volume (Å³/cell): 308.3

***

(x)
Below is an optimized crystal structure of Li2TiFeO4, with properties calculated at the PBE with a Hubbard U level.

Unit cell a=4.015 b=4.097 c=9.338 alpha=102.64 beta=102.41 gamma=90.00
Space group P1 (No. 1)
Inequivalent atoms, fractional coordinates:
Li1 0.000 0.000 0.000 x1
Li2 0.110 0.609 0.221 x1
Li3 0.244 0.244 0.488 x1
Li4 0.888 0.388 0.775 x1
Ti1 0.371 0.872 0.742 x1
Ti2 0.621 0.120 0.246 x1
Fe1 0.497 0.497 0.994 x1
Fe2 0.754 0.754 0.509 x1
O1 0.120 0.119 0.239 x1
O2 0.261 0.761 0.522 x1
O3 0.375 0.374 0.749 x1
O4 0.499 0.999 0.998 x1
O5 0.623 0.624 0.247 x1
O6 0.731 0.231 0.462 x1
O7 0.876 0.875 0.752 x1
O8 0.998 0.498 0.996 x1

Output
Total moment (μB per formula unit): 3.9
Calculated volume (Å³/cell): 146.2

***

Order from most stable to least stable according to the calculation: (w), (x)

***

(w)
Below is an optimized crystal structure of MoPO5, with properties calculated at the PBE with a Hubbard U level.

Unit cell a=12.375 b=16.603 c=7.170 alpha=90.00 beta=90.00 gamma=90.00
Space group Fdd2 (No. 43)
Inequivalent atoms, fractional coordinates:
Mo1 0.114 0.380 0.000 x16
P1 0.001 0.215 0.116 x16
O1 0.002 0.082 0.619 x16
O2 0.018 0.340 0.785 x16
O3 0.021 0.162 0.942 x16
O4 0.101 0.230 0.596 x16
O5 0.101 0.272 0.135 x16

Output
Total moment (μB per formula unit): 1.0
Calculated volume (Å³/cell): 1473.2

***

(x)
Below is an optimized crystal structure of MoPO5, with properties calculated at the PBE with a Hubbard U level.

Unit cell a=13.053 b=6.482 c=10.862 alpha=90.00 beta=90.00 gamma=90.00
Space group Pna2_1 (No. 33)
Inequivalent atoms, fractional coordinates:
Mo1 0.118 0.025 0.000 x4
Mo2 0.241 0.250 0.734 x4
P1 0.005 0.842 0.241 x4
P2 0.181 0.526 0.980 x4
O1 0.012 0.049 0.866 x4
O2 0.015 0.007 0.138 x4
O3 0.088 0.300 0.715 x4
O4 0.104 0.711 0.246 x4
O5 0.110 0.714 0.966 x4
O6 0.116 0.336 0.016 x4
O7 0.218 0.066 0.855 x4
O8 0.223 0.979 0.106 x4
O9 0.240 0.069 0.585 x4
O10 0.243 0.485 0.861 x4

Output
Total moment (μB per formula unit): 0.0
Calculated volume (Å³/cell): 919.1

***

(y)
Below is an optimized crystal structure of MoPO5, with properties calculated at the PBE with a Hubbard U level.

Unit cell a=6.283 b=6.283 c=4.631 alpha=90.00 beta=90.00 gamma=90.00
Space group P4/n (No. 85, origin choice 2)
Inequivalent atoms, fractional coordinates:
Mo1 0.250 0.250 0.209 x2
P1 0.250 0.750 0.500 x2
O1 0.058 0.696 0.694 x8
O2 0.250 0.250 0.841 x2

Output
Calculated volume (Å³/cell): 182.8

***

Order from most stable to least stable according to the calculation: (y), (w), (x)

***

(w)
Below is an optimized crystal structure of MgV3CrO10, with properties calculated at the PBE with a Hubbard U level.

Unit cell a=6.481 b=6.571 c=5.447 alpha=90.00 beta=90.00 gamma=90.00
Space group Pmm2 (No. 25)
Inequivalent atoms, fractional coordinates:
Mg1 0.000 0.000 0.000 x1
V1 0.000 0.500 0.636 x1
V2 0.500 0.000 0.401 x1
V3 0.500 0.500 0.525 x1
Cr1 0.000 0.000 0.499 x1
O1 0.000 0.206 0.722 x2
O2 0.000 0.500 0.339 x1
O3 0.205 0.000 0.278 x2
O4 0.277 0.500 0.720 x2
O5 0.500 0.000 0.702 x1
O6 0.500 0.294 0.335 x2

Output
Total moment (μB per formula unit): 3.0
Calculated volume (Å³/cell): 232.0

***

(x)
Below is an optimized crystal structure of MgV3CrO10, with properties calculated at the PBE with a Hubbard U level.

Unit cell a=9.371 b=9.398 c=4.913 alpha=90.00 beta=95.10 gamma=90.00
Space group C2 (No. 5)
Inequivalent atoms, fractional coordinates:
Mg1 0.000 0.000 0.000 x2
V1 0.000 0.253 0.500 x2
V2 0.239 0.002 0.591 x4
Cr1 0.000 0.749 0.500 x2
O1 0.098 0.139 0.737 x4
O2 0.098 0.865 0.731 x4
O3 0.116 0.356 0.333 x4
O4 0.116 0.645 0.336 x4
O5 0.192 0.002 0.257 x4

Output
Total moment (μB per formula unit): 3.0
Calculated volume (Å³/cell): 431.0

***

Order from most stable to least stable according to the calculation: (x), (w)